A relaxed structure of Bi2SeO2. Source: Materials Project, functional r²SCAN.

Cell: 3.8913 3.8913 6.7143 Å, 106.84 106.84 90.00°
With the nearest neighbours (Å) after each atom.
Element x y z (fractional)
Bi 0.3527 0.3527 0.7055  4 O 2.32
Bi 0.6473 0.6473 0.2945  4 O 2.32
Se 0.0000 0.0000 0.0000  8 Bi 3.29, 8 O 3.63
O 0.7500 0.2500 0.5000  4 Bi 2.32
O 0.2500 0.7500 0.5000  4 Bi 2.32

Properties
Energy of formation from the pure elements: -104.4 kJ per mole of atoms